1.
This record from the Materials Project database describes an optimized crystal structure of WO2F2. The functional is PBE+U.

a b c (Å): 6.6087 3.8885 7.7207
angles (deg): 90.00 90.00 90.00
Fractional positions:
W  0.0000  0.0381  0.0000
W  0.0000  0.9619  0.5000
O  0.0000  0.0029  0.7616
O  0.0000  0.4918  0.5094
O  0.0000  0.5082  0.0094
O  0.0000  0.9971  0.2616
F  0.2844  0.0041  0.5203
F  0.2844  0.9959  0.0203
F  0.7156  0.0041  0.5203
F  0.7156  0.9959  0.0203

Calculated values
Energy of formation from the pure elements = -2483.3 meV per atom
Maximum piezoelectric response = 5.83 C/m²

2.
This record from the Materials Project database describes an optimized crystal structure of V11NiO18. The functional is PBE+U.

a b c (Å): 5.5532 7.5077 8.8412
angles (deg): 112.78 105.49 96.36
Fractional positions:
V  0.0000  0.0000  0.0000
V  0.0012  0.5014  0.9983
V  0.2639  0.8686  0.3336
V  0.2655  0.3694  0.3396
V  0.3282  0.3403  0.6655
V  0.3318  0.8350  0.6699
V  0.5954  0.2021  0.9984
V  0.6010  0.7031  0.0003
V  0.6631  0.1692  0.3334
V  0.6688  0.6674  0.3353
V  0.9316  0.0357  0.6673
Ni  0.9261  0.5419  0.6691
O  0.0099  0.3093  0.1108
O  0.0354  0.3302  0.4486
O  0.0374  0.3327  0.7716
O  0.2344  0.0398  0.5654
O  0.2353  0.0377  0.8723
O  0.2632  0.0708  0.2345
O  0.3452  0.6390  0.7677
O  0.3592  0.6609  0.4348
O  0.3698  0.6695  0.1333
O  0.5555  0.3693  0.2338
O  0.5619  0.3707  0.5314
O  0.5961  0.3965  0.8976
O  0.6652  0.9722  0.4332
O  0.6960  0.0047  0.1012
O  0.6989  0.0024  0.7969
O  0.9030  0.7071  0.9055
O  0.9043  0.7037  0.2032
O  0.9305  0.7367  0.5623

Calculated values
Energy of formation from the pure elements = -2423.8 meV per atom

3.
This record from the Materials Project database describes an optimized crystal structure of K3CrF6. The functional is PBE+U.

a b c (Å): 6.7066 6.7102 6.7156
angles (deg): 103.20 102.84 102.81
Fractional positions:
K  0.0000  0.0000  0.0000
K  0.0000  0.5000  0.5000
K  0.5000  0.0000  0.5000
Cr  0.0000  0.0000  0.5000
F  0.0714  0.7894  0.2917
F  0.2117  0.2198  0.4465
F  0.2166  0.9543  0.7208
F  0.7834  0.0457  0.2792
F  0.7883  0.7802  0.5535
F  0.9286  0.2106  0.7083

Calculated values
Size of the total moment = 3.00 μB per formula unit
Energy of formation from the pure elements = -3040.9 meV per atom

4.
This record from the Materials Project database describes an optimized crystal structure of LiFeP4O12. The functional is PBE+U.

a b c (Å): 8.9908 8.9908 9.9647
angles (deg): 121.02 121.02 49.49
Fractional positions:
Li  0.1653  0.8347  0.7500
Li  0.8347  0.1653  0.2500
Fe  0.2818  0.7182  0.2500
Fe  0.7182  0.2818  0.7500
P  0.0402  0.6796  0.8889
P  0.2701  0.4358  0.3384
P  0.3204  0.9598  0.6111
P  0.4358  0.2701  0.8384
P  0.5642  0.7299  0.1616
P  0.6796  0.0402  0.3889
P  0.7299  0.5642  0.6616
P  0.9598  0.3204  0.1111
O  0.0239  0.7604  0.7822
O  0.0537  0.7996  0.0703
O  0.1430  0.3494  0.1665
O  0.1558  0.5958  0.4607
O  0.2004  0.9463  0.4297
O  0.2345  0.4530  0.8987
O  0.2396  0.9761  0.7178
O  0.3494  0.1430  0.6665
O  0.3634  0.4844  0.2842
O  0.4042  0.8442  0.0393
O  0.4530  0.2345  0.3987
O  0.4844  0.3634  0.7842
O  0.5156  0.6366  0.2158
O  0.5470  0.7655  0.6013
O  0.5958  0.1558  0.9607
O  0.6366  0.5156  0.7158
O  0.6506  0.8570  0.3335
O  0.7604  0.0239  0.2822
O  0.7655  0.5470  0.1013
O  0.7996  0.0537  0.5703
O  0.8442  0.4042  0.5393
O  0.8570  0.6506  0.8335
O  0.9463  0.2004  0.9297
O  0.9761  0.2396  0.2178

Calculated values
Size of the total moment = 5.00 μB per formula unit
Energy of formation from the pure elements = -2469.1 meV per atom
Energy above the lowest structure with this stoichiometry = 81 meV per atom